Record 1
! Ba7GeN6, optimized geometry, DFT PBE; values from VASP
&SYSTEM
  ibrav = 0, nat = 56, ntyp = 3
/
ATOMIC_SPECIES
Ge 72.64 Ge.upf
Ba 137.33 Ba.upf
N 14.01 N.upf
CELL_PARAMETERS angstrom
-7.747 -8.379 -5.425
-2.287 -1.987 6.335
-10.501 10.109 -0.620
ATOMIC_POSITIONS angstrom
Ge -2.818 2.360 0.380
Ba -7.601 0.202 4.321
Ba -6.658 -1.801 -2.425
N -16.570 0.443 -5.271
Ba -7.055 0.548 0.735
N -7.893 2.465 2.636
N -9.603 -5.746 -3.348
N -4.523 1.441 0.740
Ba -10.143 0.253 -1.697
N -12.661 7.939 0.992
Ba -4.981 -2.363 2.478
Ba -10.309 -3.057 -3.555
N -7.873 -8.196 -0.701
Ba -10.391 -0.510 1.987
Ge -7.835 -2.824 0.835
N -7.264 6.050 -0.153
Ba -12.934 -0.459 -4.031
Ba -10.226 2.801 3.846
N -11.822 4.283 -0.954
Ba -7.769 -5.460 -1.408
Ba -12.299 8.153 3.895
N -16.011 -1.698 -0.450
Ge -9.969 5.763 5.335
Ba -8.236 -8.410 -3.604
N -11.659 1.539 0.738
N -7.701 -1.753 2.484
N -13.271 -6.307 0.443
N -8.712 -4.540 1.245
Ba -15.554 2.106 -2.188
N -8.081 2.018 -1.465
Ba -13.479 -0.805 -0.444
Ba -6.072 -5.826 1.879
N -12.833 1.496 -2.193
Ba -11.024 6.844 -1.050
Ba -9.570 3.267 0.337
Ba -3.350 -0.842 -0.348
N -15.137 5.504 3.226
N -12.453 -2.275 1.755
N -6.073 -3.223 0.117
Ba -12.766 5.203 1.698
N -12.642 -2.722 -2.346
N -3.965 -0.700 5.562
Ba -14.594 -4.318 -0.845
Ba -14.462 5.569 -1.589
Ba -5.941 4.061 1.136
Ba -13.876 1.544 2.715
Ba -10.965 -3.524 -0.046
Ge -12.699 2.567 -0.545
Ba -9.511 -7.101 1.341
N -5.398 -5.761 -2.936
Ba -3.928 1.395 3.455
N -14.462 2.966 0.174
N -10.932 5.489 3.638
N -8.876 -1.796 -0.447
Ba -8.859 6.727 2.260
Ba -17.185 0.585 0.638
! * symmetry: Pbcn, No. 60
! * energy of formation from the pure elements: -0.568 eV/atom
! * magnetization: 0.0 μB per cell
! * energy with MP2020 corrections: -5.431 eV per atom

***

Record 2
! ScHO2, optimized geometry, DFT PBE; values from VASP
&SYSTEM
  ibrav = 0, nat = 4, ntyp = 3
/
ATOMIC_SPECIES
O 16.00 O.upf
H 1.01 H.upf
Sc 44.96 Sc.upf
CELL_PARAMETERS angstrom
-3.830 -2.900 0.968
-2.111 -4.176 -1.455
-1.093 -4.503 1.596
ATOMIC_POSITIONS angstrom
O -4.147 -6.828 0.654
H -3.517 -5.789 0.554
O -2.886 -4.751 0.455
Sc 0.000 0.000 0.000
! * symmetry: R-3m, No. 166
! * energy of formation from the pure elements: -2.909 eV/atom
! * magnetization: 0.0 μB per cell
! * energy with MP2020 corrections: -7.815 eV per atom

***

Record 3
! Nb2Zn2SiS5O24, optimized geometry, DFT PBE; values from VASP
&SYSTEM
  ibrav = 0, nat = 102, ntyp = 5
/
ATOMIC_SPECIES
O 16.00 O.upf
Si 28.09 Si.upf
S 32.06 S.upf
Nb 92.91 Nb.upf
Zn 65.41 Zn.upf
CELL_PARAMETERS angstrom
-2.617 4.973 6.792
-5.815 -5.140 -4.167
4.693 -16.971 14.270
ATOMIC_POSITIONS angstrom
O -1.960 -17.331 11.182
O -2.887 0.369 2.358
O -5.182 0.882 3.894
O -4.303 -12.920 11.266
O -1.835 -11.186 14.167
O 1.045 -8.980 11.890
O -4.202 -5.303 4.421
Si -2.640 -1.346 2.404
O -4.575 -8.041 4.898
O 0.019 -13.808 11.034
S 1.628 -9.227 15.550
O -2.962 -10.992 2.625
O -2.646 2.152 4.537
O -3.766 -3.449 5.915
O -4.000 -9.974 10.681
Nb -0.928 -15.470 10.989
O 1.506 -18.036 12.948
S 1.101 -12.728 11.526
O 1.512 -12.084 10.288
Si -5.233 -8.850 6.250
S 0.412 -2.860 5.520
Nb -3.369 -7.028 3.927
Nb -2.308 -10.684 7.036
O -0.046 -13.239 17.580
S -2.622 -9.763 10.317
O -0.286 -15.108 15.439
O -1.752 0.231 5.812
O 0.845 -16.543 11.145
O -2.657 -14.639 10.995
Nb 0.610 -2.397 2.008
O -1.611 -15.879 6.794
Zn -0.503 -10.015 12.993
O 1.488 -9.748 16.904
O -2.358 -10.482 8.968
Zn -0.937 -1.104 11.840
O -0.465 -4.827 9.756
Si -1.625 -6.920 13.551
O -4.397 -7.191 2.210
Zn -4.607 -2.109 -0.194
O -2.185 -1.237 10.147
S -1.595 1.637 5.510
O -1.184 -19.307 12.402
O 0.747 -4.268 5.625
O -3.459 -2.068 1.295
O -0.946 -17.315 14.640
O 3.023 -16.311 12.227
S -4.818 -4.339 5.493
O -1.619 -10.323 11.200
O -2.920 -1.440 7.857
O -0.964 -15.388 13.141
S -1.125 -7.370 6.630
Zn -2.814 -1.588 5.756
S -2.070 -10.266 3.487
O -1.506 -8.486 13.494
O -0.629 -11.502 6.994
S -1.259 -15.908 14.519
O -2.711 -1.804 3.893
O -1.482 -6.657 7.874
O -6.714 -0.885 4.548
O -1.909 -5.954 2.823
S -5.702 0.144 5.111
Nb -1.413 -6.422 10.075
O -0.910 -2.560 6.009
O -5.309 -5.147 6.590
O 0.393 -11.886 12.474
O -1.300 -8.836 6.834
O 2.283 -13.872 16.044
O -3.305 -12.394 7.005
O -2.120 -6.920 5.563
O -0.732 -5.936 14.388
O -3.391 -12.876 14.810
O -2.601 -15.599 14.962
Zn 3.977 -14.447 12.138
S -3.220 -11.465 14.480
O -5.926 -3.655 4.754
O 0.355 -7.494 10.053
O 2.110 -9.087 9.674
O 0.871 -10.026 14.606
O -0.877 -15.682 9.085
S -3.107 -0.775 9.130
O -0.328 -4.225 2.153
O -5.153 -7.484 -0.050
S 2.006 -17.265 11.830
O -3.258 -5.490 9.846
O 2.124 -13.533 12.183
O -5.896 -7.892 7.280
Nb 0.951 -15.014 17.009
O -0.973 -1.489 1.977
O -1.901 2.411 6.813
S 1.483 -8.290 10.698
S -2.073 -18.819 11.366
O 0.217 -7.096 6.194
O -3.812 -3.947 -0.804
O -3.958 -9.707 6.784
O -2.403 -8.310 10.001
Zn 0.370 -6.002 15.931
O -4.663 -0.592 5.801
O -2.300 -8.776 3.411
O -2.211 -10.726 4.885
O -1.498 -6.395 11.885
O -1.941 -19.535 10.117
O -6.086 -3.157 0.909
! * symmetry: P1, No. 1
! * energy of formation from the pure elements: -2.148 eV/atom
! * magnetization: 0.0 μB per cell
! * energy with MP2020 corrections: -7.077 eV per atom

***

Record 4
! ZnH20S2N2O14, optimized geometry, DFT PBE; values from VASP
&SYSTEM
  ibrav = 0, nat = 78, ntyp = 5
/
ATOMIC_SPECIES
S 32.06 S.upf
H 1.01 H.upf
O 16.00 O.upf
Zn 65.41 Zn.upf
N 14.01 N.upf
CELL_PARAMETERS angstrom
13.013 0.000 0.000
0.000 6.525 0.000
0.000 3.341 8.960
ATOMIC_POSITIONS angstrom
S 11.088 7.061 5.425
H 1.856 5.256 8.742
H 5.383 6.772 6.496
O 7.770 8.824 8.585
O 0.897 1.898 0.040
H 0.215 4.730 4.711
O 12.079 6.628 6.460
H 11.157 4.611 0.219
H 6.291 3.060 0.231
O 12.117 7.968 8.921
H 12.178 7.480 8.062
O 5.178 7.614 6.028
S 1.925 2.805 3.535
O 9.559 4.413 0.911
H 4.064 5.494 0.609
H 1.595 6.635 2.204
H 6.722 6.807 8.729
H 10.570 2.702 3.871
O 5.080 7.491 3.074
H 5.671 4.057 5.378
O 7.440 4.957 1.980
O 7.403 6.298 4.441
O 1.426 9.162 7.554
Zn 6.507 1.671 4.480
S 8.432 5.391 0.945
H 11.890 4.765 6.944
N 8.567 4.737 7.475
O 8.962 6.759 1.291
N 4.446 5.129 1.486
H 2.678 6.404 6.700
H 7.546 4.845 7.402
H 8.896 8.661 5.764
O 4.051 3.107 7.669
O 7.933 2.375 5.887
H 8.363 6.281 4.699
H 5.232 1.075 2.101
O 5.573 4.909 6.980
H 5.467 5.022 1.559
O 1.263 2.713 4.856
H 12.798 5.136 4.249
O 7.835 2.253 2.932
O 5.610 3.569 4.520
H 4.117 1.205 3.197
O 2.456 1.437 3.189
H 2.389 2.876 7.677
S 4.581 4.476 8.016
H 10.336 3.463 2.260
O 1.328 5.943 1.548
H 8.950 4.373 8.351
O 11.750 7.154 4.105
H 7.781 8.791 6.860
H 10.624 6.991 1.284
O 11.587 0.704 1.406
H 7.630 3.094 2.464
O 11.685 3.923 7.412
H 3.829 4.733 2.220
H 2.443 7.164 5.089
H 11.973 3.174 2.921
O 3.454 5.454 8.049
H 1.275 2.746 6.581
H 4.911 8.306 6.684
H 4.651 3.585 4.262
H 1.040 6.692 6.039
O 0.934 3.239 2.500
Zn 0.000 0.000 0.000
H 9.184 5.133 6.741
H 7.342 5.809 3.582
O 9.961 6.083 5.391
H 11.418 3.231 6.756
H 11.738 7.121 2.379
H 0.835 2.387 0.898
N 2.061 6.800 5.966
H 8.102 1.561 2.276
O 3.052 3.783 3.569
O 5.243 1.042 0.376
H 1.123 5.102 2.016
N 10.952 3.066 2.995
O 10.557 8.430 5.771
! * polymorph energy (0 for the lowest one): 0.1641 eV/atom
! * symmetry: P2_1/c, No. 14
! * energy of formation from the pure elements: -1.119 eV/atom
! * magnetization: 3.8 μB per cell
! * energy with MP2020 corrections: -5.307 eV per atom

***

Record 5
! Sm5Zr3Ni16As12, optimized geometry, DFT PBE; values from VASP
&SYSTEM
  ibrav = 0, nat = 36, ntyp = 4
/
ATOMIC_SPECIES
As 74.92 As.upf
Zr 91.22 Zr.upf
Ni 58.69 Ni.upf
Sm 150.36 Sm.upf
CELL_PARAMETERS angstrom
6.449 -11.170 0.000
6.449 11.170 0.000
0.000 0.000 4.000
ATOMIC_POSITIONS angstrom
As 4.618 0.000 0.000
Zr 2.807 4.861 0.000
Ni 9.011 -4.056 2.000
Ni 4.880 5.775 2.000
Sm 5.256 9.103 2.000
Ni 4.880 -5.775 2.000
Ni 9.011 4.056 2.000
As 1.158 -2.005 0.000
As 7.850 1.917 2.000
Ni 3.625 2.164 0.000
Zr 2.807 -4.861 0.000
Ni 1.782 -3.086 2.000
As 7.313 5.840 2.000
Sm 5.256 -9.103 2.000
Ni 5.457 1.338 2.000
Sm 2.386 0.000 2.000
As 4.140 -7.171 0.000
As 4.140 7.171 0.000
As 7.313 -5.840 2.000
Sm 6.449 -3.723 0.000
Ni 9.334 0.000 2.000
As 10.583 0.000 0.000
As 7.850 -1.917 2.000
Ni 9.212 2.057 0.000
As 4.184 3.413 2.000
Zr 7.285 0.000 0.000
Ni 0.000 0.000 0.000
Ni 9.212 -2.057 0.000
Ni 1.782 3.086 2.000
Ni 6.511 -6.949 0.000
Ni 6.511 6.949 0.000
As 4.184 -3.413 2.000
Ni 3.625 -2.164 0.000
Sm 6.449 3.723 0.000
Ni 5.457 -1.338 2.000
As 1.158 2.005 0.000
! * symmetry: P-62m, No. 189
! * energy of formation from the pure elements: -0.834 eV/atom
! * magnetization: 0.0 μB per cell

***

Record 6
! CsBiSe2, optimized geometry, DFT PBE; values from VASP
&SYSTEM
  ibrav = 0, nat = 4, ntyp = 3
/
ATOMIC_SPECIES
Cs 132.91 Cs.upf
Se 78.96 Se.upf
Bi 208.98 Bi.upf
CELL_PARAMETERS angstrom
-0.695 -0.579 4.308
-2.703 -1.860 -2.935
5.255 -7.404 -0.147
ATOMIC_POSITIONS angstrom
Cs 2.221 -3.129 -0.062
Se 4.236 -5.969 -0.119
Bi 3.094 -8.658 -0.664
Se -0.515 -2.202 1.870
! * symmetry: P3m1, No. 156
! * energy of formation from the pure elements: -0.913 eV/atom
! * magnetization: 0.0 μB per cell
! * energy with MP2020 corrections: -3.857 eV per atom